No. 1
# Tm2PbS4

A geometry-optimized Tm2PbS4 structure (GGA-PBE, the Materials Project database).

Lattice parameters (Å, degrees): 14.798 14.798 12.077 90.00 90.00 149.10
Sites, in units of the cell vectors:
Tm  0.068  0.932  0.912
Tm  0.932  0.068  0.412
Tm  0.569  0.431  0.920
Tm  0.431  0.569  0.420
Tm  0.430  0.070  0.787
Tm  0.930  0.570  0.787
Tm  0.570  0.930  0.287
Tm  0.070  0.430  0.287
Tm  0.327  0.172  0.267
Tm  0.828  0.673  0.267
Tm  0.673  0.828  0.767
Tm  0.172  0.327  0.767
Tm  0.674  0.326  0.433
Tm  0.326  0.674  0.933
Tm  0.175  0.825  0.430
Tm  0.825  0.175  0.930
Pb  0.538  0.462  0.620
Pb  0.462  0.538  0.120
Pb  0.047  0.953  0.564
Pb  0.953  0.047  0.064
Pb  0.462  0.041  0.096
Pb  0.959  0.538  0.096
Pb  0.538  0.959  0.596
Pb  0.041  0.462  0.596
S  0.517  0.483  0.318
S  0.483  0.517  0.818
S  0.708  0.292  0.646
S  0.292  0.708  0.146
S  0.162  0.838  0.936
S  0.838  0.162  0.436
S  0.663  0.337  0.938
S  0.337  0.663  0.438
S  0.361  0.137  0.476
S  0.863  0.639  0.476
S  0.639  0.863  0.976
S  0.137  0.361  0.976
S  0.209  0.791  0.645
S  0.791  0.209  0.145
S  0.486  0.017  0.384
S  0.983  0.514  0.384
S  0.514  0.983  0.884
S  0.017  0.486  0.884
S  0.640  0.360  0.225
S  0.360  0.640  0.725
S  0.288  0.207  0.058
S  0.793  0.712  0.058
S  0.712  0.793  0.558
S  0.207  0.288  0.558
S  0.020  0.980  0.334
S  0.980  0.020  0.834
S  0.340  0.166  0.767
S  0.834  0.660  0.767
S  0.660  0.834  0.267
S  0.166  0.340  0.267
S  0.140  0.860  0.223
S  0.860  0.140  0.723

## Properties
The corrected total energy (MP2020 scheme) is -6.09 eV/atom. As for the energy relative to the elements: -1.919 eV per atom. For the total DFT energy (no corrections), the calculation gives -40.6 eV/f.u. For the spin magnetization, the calculation gives 0.0000 μB per atom.

No. 2
# Tm2PbS4

A geometry-optimized Tm2PbS4 structure (GGA-PBE, the Materials Project database).

Lattice parameters (Å, degrees): 3.946 11.995 14.260 90.00 90.00 90.00
Sites, in units of the cell vectors:
Tm  0.250  0.437  0.389
Tm  0.250  0.937  0.111
Tm  0.750  0.563  0.611
Tm  0.750  0.063  0.889
Tm  0.250  0.418  0.901
Tm  0.250  0.918  0.599
Tm  0.750  0.582  0.099
Tm  0.750  0.082  0.401
Pb  0.250  0.762  0.335
Pb  0.250  0.262  0.165
Pb  0.750  0.238  0.665
Pb  0.750  0.738  0.835
S  0.250  0.207  0.831
S  0.250  0.707  0.669
S  0.750  0.793  0.169
S  0.750  0.293  0.331
S  0.250  0.128  0.528
S  0.250  0.628  0.972
S  0.750  0.872  0.472
S  0.750  0.372  0.028
S  0.250  0.024  0.285
S  0.250  0.524  0.215
S  0.750  0.976  0.715
S  0.750  0.476  0.785
S  0.250  0.414  0.576
S  0.250  0.914  0.924
S  0.750  0.586  0.424
S  0.750  0.086  0.076

## Properties
The corrected total energy (MP2020 scheme) is -6.09 eV/atom. As for the energy relative to the elements: -1.918 eV per atom. For the total DFT energy (no corrections), the calculation gives -40.6 eV/f.u.